Material: NaCu3O4
Method: DFT, PBE
State: optimized geometry

Summary:
* ΔH_f (0 K): -1.100 eV per atom
* V: 13.3 Å³ per atom
* magnetic moment: 0.0 μB per formula unit

a = 3.710 Å, b = 5.435 Å, c = 5.895 Å
α = 115.33°, β = 95.37°, γ = 91.39°
Element x y z (fractional)
Na (0.000, 0.000, 0.000)
Cu (0.470, 0.755, 0.517)
Cu (0.502, 0.499, 0.998)
Cu (0.534, 0.244, 0.480)
O (0.391, 0.396, 0.255)
O (0.444, 0.871, 0.256)
O (0.562, 0.128, 0.741)
O (0.613, 0.604, 0.742)

Material: Na9Cu2O7
Method: DFT, PBE
State: optimized geometry

Summary:
* ΔH_f (0 K): -1.357 eV per atom
* V: 13.4 Å³ per atom
* magnetic moment: 1.0 μB per formula unit

a = 9.536 Å, b = 9.926 Å, c = 10.220 Å
α = 90.00°, β = 90.00°, γ = 90.00°
Element x y z (fractional)
Na (0.013, 0.243, 0.000)
Na (0.021, 0.662, 0.754)
Na (0.071, 0.167, 0.726)
Na (0.072, 0.546, 0.022)
Na (0.089, 0.014, 0.460)
Na (0.154, 0.054, 0.167)
Na (0.164, 0.608, 0.352)
Na (0.214, 0.274, 0.425)
Na (0.224, 0.789, 0.096)
Na (0.276, 0.789, 0.596)
Na (0.286, 0.274, 0.925)
Na (0.336, 0.608, 0.852)
Na (0.346, 0.054, 0.667)
Na (0.411, 0.014, 0.960)
Na (0.428, 0.546, 0.522)
Na (0.429, 0.167, 0.226)
Na (0.479, 0.662, 0.254)
Na (0.487, 0.243, 0.500)
Na (0.513, 0.757, 0.000)
Na (0.521, 0.338, 0.754)
Na (0.571, 0.833, 0.726)
Na (0.572, 0.454, 0.022)
Na (0.589, 0.986, 0.460)
Na (0.654, 0.946, 0.167)
Na (0.664, 0.392, 0.352)
Na (0.714, 0.726, 0.425)
Na (0.724, 0.211, 0.096)
Na (0.776, 0.211, 0.596)
Na (0.786, 0.726, 0.925)
Na (0.836, 0.392, 0.852)
Na (0.846, 0.946, 0.667)
Na (0.911, 0.986, 0.960)
Na (0.928, 0.454, 0.522)
Na (0.929, 0.833, 0.226)
Na (0.979, 0.338, 0.254)
Na (0.987, 0.757, 0.500)
Cu (0.155, 0.896, 0.843)
Cu (0.190, 0.433, 0.675)
Cu (0.310, 0.433, 0.175)
Cu (0.345, 0.896, 0.343)
Cu (0.655, 0.104, 0.843)
Cu (0.690, 0.567, 0.675)
Cu (0.810, 0.567, 0.175)
Cu (0.845, 0.104, 0.343)
O (0.033, 0.776, 0.955)
O (0.083, 0.423, 0.833)
O (0.095, 0.926, 0.667)
O (0.154, 0.587, 0.577)
O (0.155, 0.837, 0.314)
O (0.163, 0.067, 0.931)
O (0.197, 0.283, 0.167)
O (0.303, 0.283, 0.667)
O (0.337, 0.067, 0.431)
O (0.345, 0.837, 0.814)
O (0.346, 0.587, 0.077)
O (0.405, 0.926, 0.167)
O (0.417, 0.423, 0.333)
O (0.467, 0.776, 0.455)
O (0.533, 0.224, 0.955)
O (0.583, 0.577, 0.833)
O (0.595, 0.074, 0.667)
O (0.654, 0.413, 0.577)
O (0.655, 0.163, 0.314)
O (0.663, 0.933, 0.931)
O (0.697, 0.717, 0.167)
O (0.803, 0.717, 0.667)
O (0.837, 0.933, 0.431)
O (0.845, 0.163, 0.814)
O (0.846, 0.413, 0.077)
O (0.905, 0.074, 0.167)
O (0.917, 0.577, 0.333)
O (0.967, 0.224, 0.455)